[1]
Entry from the Materials Project: a relaxed Li2Fe3CoO8 crystal (GGA+U).

E_tot   -331.7 eV per cell
Energy relative to the lowest polymorph listed for this composition   153 meV per atom
M_tot   1.071 μB per atom
Corrected total energy (MP2020 scheme)   -387.352 eV for the cell shown

abc: 8.115 8.115 8.115
angles: 90.00 90.00 90.00
Space group P2_13 (No. 198)
Asymmetric unit:
Li  0.126  0.126  0.126
Li  0.248  0.752  0.252
Fe  0.120  0.620  0.627
Co  0.005  0.995  0.495
O  0.104  0.872  0.105
O  0.115  0.385  0.615
O  0.122  0.856  0.638
O  0.133  0.633  0.867

=====

[2]
Entry from the Materials Project: a relaxed Li9Mn7O16 crystal (GGA+U).

E_tot   -205.8 eV per cell
Energy relative to the lowest polymorph listed for this composition   20 meV per atom
M_tot   0.813 μB per atom
Corrected total energy (MP2020 scheme)   -228.477 eV for the cell shown

abc: 3.021 6.503 15.721
angles: 87.68 85.12 76.74
Space group P-1 (No. 2)
Asymmetric unit:
Li  0.000  0.000  0.000
Li  0.040  0.881  0.179
Li  0.188  0.625  0.563
Li  0.299  0.359  0.934
Li  0.449  0.121  0.315
Mn  0.121  0.748  0.374
Mn  0.269  0.496  0.754
Mn  0.371  0.243  0.120
Mn  0.500  0.000  0.500
O  0.056  0.952  0.594
O  0.131  0.694  0.956
O  0.141  0.792  0.793
O  0.186  0.548  0.157
O  0.299  0.449  0.340
O  0.320  0.298  0.532
O  0.433  0.201  0.716
O  0.476  0.040  0.902

=====

[3]
Entry from the Materials Project: a relaxed Li5Cr2O8 crystal (GGA+U).

E_tot   -90.0 eV per cell
Maximum piezoelectric response   0.4 C/m²
M_tot   0.067 μB per atom
Corrected total energy (MP2020 scheme)   -99.543 eV for the cell shown

abc: 5.158 5.363 7.806
angles: 82.72 71.91 65.53
Space group P1 (No. 1)
Asymmetric unit:
Li  0.000  0.000  0.000
Li  0.065  0.488  0.903
Li  0.196  0.557  0.483
Li  0.267  0.037  0.662
Li  0.781  0.468  0.287
Cr  0.414  0.051  0.230
Cr  0.615  0.462  0.709
O  0.157  0.198  0.116
O  0.269  0.912  0.418
O  0.319  0.732  0.836
O  0.421  0.307  0.653
O  0.502  0.293  0.277
O  0.723  0.803  0.110
O  0.817  0.557  0.510
O  0.861  0.284  0.832

=====

[4]
Entry from the Materials Project: a relaxed Tb2Mo2O7 crystal (GGA+U).

E_tot   -691.3 eV per cell
Corrected total energy (MP2020 scheme)   -780.982 eV for the cell shown

abc: 10.434 10.434 10.434
angles: 90.00 90.00 90.00
Space group Fd-3m (No. 227, origin choice 2)
Asymmetric unit:
Tb  0.000  0.000  0.000
Mo  0.000  0.000  0.500
O  0.088  0.375  0.875
O  0.125  0.125  0.125